A plane-wave DFT calculation with PBE was carried out for a geometry-optimized AlPPt5 structure.

Calculated values
Crystal system: tetragonal
Electronic total energy in eV/atom: -6.25

The structure in POSCAR format:
```
AlPPt5
1.0
-0.0595 3.7175 -1.3473
-3.5834 0.5189 1.5901
2.9044 2.1629 5.8394
Pt P Al
5 1 1
direct
0.0000 0.5000 0.2870 Pt
0.0000 0.5000 0.7130 Pt
0.5000 0.0000 0.2870 Pt
0.0000 0.0000 0.0000 Pt
0.5000 0.0000 0.7130 Pt
0.0000 0.0000 0.5000 P
0.5000 0.5000 0.0000 Al
```



A plane-wave DFT calculation with PBE was carried out for a geometry-optimized AlP2S6 structure.

Calculated values
Crystal system: monoclinic
Electronic total energy in eV/atom: -4.72

The structure in POSCAR format:
```
AlP2S6
1.0
-1.8760 0.5345 -5.5865
5.4938 -1.9218 1.0674
-3.5219 -6.1513 1.6301
S Al P
6 1 2
direct
0.5853 0.9412 0.2299 S
0.7207 0.7859 0.7683 S
0.8756 0.5658 0.2280 S
0.4342 0.1244 0.7720 S
0.0588 0.4147 0.7701 S
0.2142 0.2793 0.2317 S
0.8143 0.1857 0.0000 Al
0.5351 0.5730 0.1606 P
0.4270 0.4649 0.8394 P
```



A plane-wave DFT calculation with PBE was carried out for a geometry-optimized Al2P3S9 structure.

Calculated values
Crystal system: monoclinic
Electronic total energy in eV/atom: -4.86

The structure in POSCAR format:
```
Al2P3S9
1.0
-3.3585 3.8399 8.9211
0.4335 -5.7000 8.5400
6.0749 2.2846 3.2575
S P Al
18 6 4
direct
0.9123 0.2424 0.7286 S
0.5878 0.2627 0.7382 S
0.0927 0.4087 0.2631 S
0.2365 0.2577 0.7370 S
0.7423 0.7635 0.2630 S
0.0692 0.0840 0.2851 S
0.0824 0.7391 0.2863 S
0.2609 0.9176 0.7137 S
0.2465 0.5868 0.7145 S
0.4165 0.0659 0.2690 S
0.7373 0.4122 0.2618 S
0.4132 0.7535 0.2855 S
0.9160 0.9308 0.7149 S
0.3945 0.4292 0.2712 S
0.9341 0.5835 0.7310 S
0.5913 0.9073 0.7369 S
0.5708 0.6055 0.7288 S
0.7576 0.0877 0.2714 S
0.1901 0.1820 0.3436 P
0.8439 0.8611 0.3449 P
0.8180 0.8099 0.6564 P
0.5107 0.5152 0.3441 P
0.4848 0.4893 0.6559 P
0.1389 0.1561 0.6551 P
0.1648 0.8352 0.5000 Al
0.5122 0.8362 0.4991 Al
0.8161 0.1839 0.5000 Al
0.1638 0.4878 0.5009 Al
```



A plane-wave DFT calculation with PBE was carried out for a geometry-optimized PaAlTc2 structure.

Calculated values
Crystal system: cubic
Electronic total energy in eV/atom: -8.85

The structure in POSCAR format:
```
PaAlTc2
1.0
-2.1562 -0.4231 4.0511
-1.9982 3.6713 1.9413
-4.5954 0.2830 0.2052
Pa Tc Al
1 2 1
direct
0.0000 0.0000 0.0000 Pa
0.7500 0.7500 0.7500 Tc
0.2500 0.2500 0.2500 Tc
0.5000 0.5000 0.5000 Al
```



A plane-wave DFT calculation with PBE was carried out for a geometry-optimized AlPb3 structure.

Calculated values
Crystal system: hexagonal
Energy above the most stable polymorph in this dataset in meV per atom: 41

The structure in POSCAR format:
```
AlPb3
1.0
4.1184 2.9577 4.7408
-6.8422 1.1620 0.1371
-0.6839 -4.4225 3.3531
Pb Al
6 2
direct
0.8288 0.1712 0.7500 Pb
0.1712 0.3423 0.2500 Pb
0.1712 0.8288 0.2500 Pb
0.3423 0.1712 0.7500 Pb
0.6577 0.8288 0.2500 Pb
0.8288 0.6577 0.7500 Pb
0.3333 0.6667 0.7500 Al
0.6667 0.3333 0.2500 Al
```



A plane-wave DFT calculation with PBE was carried out for a geometry-optimized AlPb3 structure.

Calculated values
Crystal system: tetragonal
Energy above the most stable polymorph in this dataset in meV per atom: 0

The structure in POSCAR format:
```
AlPb3
1.0
-2.4114 2.4114 5.0208
2.4114 -2.4114 5.0208
2.4114 2.4114 -5.0208
Pb Al
3 1
direct
0.7500 0.2500 0.5000 Pb
0.2500 0.7500 0.5000 Pb
0.5000 0.5000 0.0000 Pb
0.0000 0.0000 0.0000 Al
```